Entry 1:
Compound: LiMn2P2O8
Source: the Materials Project
Functional: PBE with a Hubbard U
Structure: relaxed

Geometry as extended XYZ:
```
13
Lattice="-4.612 1.730 0.904 -1.492 -4.766 0.370 1.347 0.277 7.110" Properties=species:S:1:pos:R:3 pbc="T T T"
Mn -4.486 -2.624 8.328
O -0.700 -2.297 4.380
P 0.241 -2.096 5.561
O -0.421 -2.567 6.933
P -1.934 0.860 2.183
O -3.390 -2.346 2.434
O -2.225 0.449 3.621
O -3.110 -1.280 6.314
O -0.649 0.173 1.672
Li -3.018 -1.501 0.630
Mn -2.603 -1.491 4.239
O 0.583 -0.599 5.733
O -3.105 0.420 1.194
```

Results
Crystal system: monoclinic
Largest piezoelectric modulus (C/m²): 1.3
Energy of formation from the pure elements (eV/atom): -2.49
ΔE to the lowest computed polymorph (eV per atom): 0.051
Theoretical density (Mg/m³): 2.8

---

Entry 2:
Compound: LiMnPO4
Source: the Materials Project
Functional: PBE with a Hubbard U
Structure: relaxed

Geometry as extended XYZ:
```
28
Lattice="-0.890 4.742 -1.877 -10.123 -1.985 1.703 0.474 2.235 5.421" Properties=species:S:1:pos:R:3 pbc="T T T"
O -0.469 5.126 2.221
O -9.992 1.698 0.658
Mn -3.837 3.961 1.254
O -8.214 2.467 4.584
P -6.718 3.092 1.397
Mn -1.942 5.063 3.825
O -5.012 2.109 4.851
O -0.548 3.292 4.587
O -7.202 1.674 1.823
O -2.324 2.525 0.662
Li -5.048 4.345 4.035
O -3.336 3.317 3.424
O -6.218 3.893 2.616
P -3.821 1.899 3.850
Li -5.490 0.648 1.211
O -2.629 4.836 -0.456
Mn -8.595 -0.070 1.420
O -7.910 0.155 5.702
Li -0.785 4.429 0.436
Li -9.753 0.562 4.809
P -9.254 3.620 4.592
O -5.526 2.882 0.397
Mn -6.701 1.031 3.993
O -6.927 -0.771 2.615
P -1.284 1.371 0.653
O -3.612 5.762 2.632
O -10.069 -0.136 3.024
O -4.321 1.097 2.632
```

Results
Crystal system: monoclinic
Energy of formation from the pure elements (eV/atom): -2.56
ΔE to the lowest computed polymorph (eV per atom): 0.070
Theoretical density (Mg/m³): 3.3

---

Entry 3:
Compound: LiMnPO4
Source: the Materials Project
Functional: PBE with a Hubbard U
Structure: relaxed

Geometry as extended XYZ:
```
28
Lattice="5.068 -0.001 0.004 -2.528 1.468 8.009 0.002 -8.786 -0.004" Properties=species:S:1:pos:R:3 pbc="T T T"
Mn 0.005 -5.856 5.502
O 3.209 0.145 4.298
O 1.480 -3.008 1.525
Li 0.005 0.002 3.494
P 0.001 -2.929 1.037
Mn 2.538 -1.463 5.505
O 0.676 -4.247 4.295
O 4.399 -1.608 1.527
O 0.814 -1.685 4.290
O 2.543 -7.315 6.327
O 0.008 -2.922 6.327
O 4.260 -4.171 1.532
O 4.015 -7.402 1.526
O 3.349 -6.078 4.290
O 0.008 -5.859 7.501
P 0.006 -2.926 4.782
Li 2.533 -1.464 2.327
O 1.061 -7.240 4.293
P 2.541 -7.319 4.781
Li 2.540 -4.391 3.496
Mn 2.536 -4.392 0.315
Mn 0.001 0.002 0.315
O 3.595 -2.848 4.298
O 1.866 -6.001 1.523
Li 0.000 -5.857 2.323
O 2.541 -1.467 7.505
O 1.725 0.222 1.531
P 2.536 -7.323 1.037
```

Results
Energy of formation from the pure elements (eV/atom): -2.56
ΔE to the lowest computed polymorph (eV per atom): 0.071
Theoretical density (Mg/m³): 2.9

---

Entry 4:
Compound: LiMnP2O7
Source: the Materials Project
Functional: PBE with a Hubbard U
Structure: relaxed

Geometry as extended XYZ:
```
44
Lattice="8.040 0.000 0.000 0.000 5.140 0.000 0.000 4.679 13.265" Properties=species:S:1:pos:R:3 pbc="T T T"
O 0.290 7.539 9.537
O 7.306 5.598 11.928
O 2.878 6.642 11.125
O 3.143 3.763 0.841
O 5.393 5.393 6.516
O 1.373 2.086 0.116
Li 2.297 8.531 10.124
O 2.939 2.808 3.205
O 6.959 4.672 3.428
P 1.649 3.607 0.258
O 3.286 6.561 7.969
O 0.877 6.103 7.474
O 5.100 7.012 10.060
O 1.080 5.147 9.837
O 1.142 4.302 4.492
O 4.310 4.620 10.361
O 6.382 0.811 1.075
P 0.263 6.140 8.964
P 4.283 6.019 10.933
O 3.730 5.199 2.904
P 3.757 3.800 2.332
Li 6.317 3.628 9.774
O 2.362 6.669 5.557
Mn 5.207 6.292 8.217
P 5.669 3.872 6.375
P 2.370 5.947 6.890
O 7.162 3.716 5.791
Li 5.743 1.288 3.141
O 4.897 6.056 12.424
O 0.734 4.221 1.337
O 6.666 7.733 13.149
O 5.678 3.150 7.708
P 7.776 3.679 4.301
O 5.162 3.177 2.140
P 6.390 6.212 13.007
O 6.898 5.517 8.773
Mn 2.833 3.527 5.047
Mn 1.187 5.867 11.680
O 7.749 2.280 3.728
O 1.658 9.008 12.190
Mn 6.853 3.952 1.585
O 4.754 3.258 5.296
Li 1.723 6.191 3.491
O 2.647 4.426 6.749
```

Results
Crystal system: monoclinic
Energy of formation from the pure elements (eV/atom): -2.55
ΔE to the lowest computed polymorph (eV per atom): 0.020
Theoretical density (Mg/m³): 2.9

---

Entry 5:
Compound: LiMn4P3O12
Source: the Materials Project
Functional: PBE with a Hubbard U
Structure: relaxed

Geometry as extended XYZ:
```
40
Lattice="-7.307 6.132 1.512 3.595 -5.135 7.348 4.060 4.545 1.189" Properties=species:S:1:pos:R:3 pbc="T T T"
O -2.797 1.339 6.210
Mn -0.244 1.621 2.721
O 3.157 4.186 3.884
O 1.828 3.136 5.781
P -4.825 5.254 4.497
Mn 0.586 3.915 7.328
P 5.172 0.287 5.553
Mn -4.211 5.440 1.669
Mn 4.553 0.096 8.379
O 1.561 2.430 3.376
O -0.261 0.842 5.878
O 3.028 1.507 7.908
Li 0.075 -1.252 5.436
O -5.693 4.683 3.322
O 1.681 -0.459 4.218
O 4.046 1.316 5.162
Mn 1.961 0.859 5.989
O -0.299 3.646 1.541
O 2.237 3.676 8.975
Mn 3.870 2.068 3.176
Mn 0.357 6.887 4.638
O -1.219 3.135 6.631
O -1.860 1.856 1.037
O 6.009 0.895 6.724
O -1.557 2.320 4.246
O 0.624 1.913 8.549
O -1.173 6.640 3.041
O 1.546 -1.070 7.016
P -1.757 3.421 1.024
P 2.104 2.120 9.025
P -1.394 1.862 5.743
Li -1.529 4.777 4.086
O -1.308 6.029 5.839
O 0.634 4.728 4.180
O 4.457 -0.914 6.263
P 1.741 3.679 4.306
Mn -3.528 3.467 6.872
O -4.071 6.426 3.792
O -3.775 4.140 4.866
O -2.757 3.949 2.119
```

Results
Crystal system: hexagonal
Energy of formation from the pure elements (eV/atom): -2.52
ΔE to the lowest computed polymorph (eV per atom): 0.036
Theoretical density (Mg/m³): 3.4

---

Entry 6:
Compound: Li2MnP2O8
Source: the Materials Project
Functional: PBE with a Hubbard U
Structure: relaxed

Geometry as extended XYZ:
```
26
Lattice="7.823 0.000 0.000 0.000 5.038 0.000 0.000 4.498 7.547" Properties=species:S:1:pos:R:3 pbc="T T T"
Li 6.759 4.343 3.061
P 2.434 7.368 5.279
O 1.103 4.063 0.401
P 1.478 5.119 1.505
O 6.844 2.588 1.840
P 5.389 2.168 2.268
O 6.313 8.080 6.795
O 5.015 3.224 3.372
Mn 0.000 2.519 0.000
O 2.808 6.312 4.175
O 5.422 5.831 3.022
Li 4.976 6.592 6.835
O 0.979 6.948 5.706
O 4.440 2.123 1.118
O 1.510 1.456 0.751
Mn 3.911 4.768 3.773
Li 2.847 2.944 0.712
P 6.345 4.417 6.042
O 2.933 4.699 1.933
O 3.383 7.413 6.429
O 0.528 5.164 2.656
O 4.890 4.837 5.614
O 2.401 3.705 4.525
O 7.295 4.372 4.891
Li 1.064 5.193 4.485
O 6.720 5.473 7.145
```

Results
Crystal system: monoclinic
Energy of formation from the pure elements (eV/atom): -2.48
ΔE to the lowest computed polymorph (eV per atom): 0.020
Theoretical density (Mg/m³): 2.9

---

Entry 7:
Compound: LiMnPO4
Source: the Materials Project
Functional: PBE with a Hubbard U
Structure: relaxed

Geometry as extended XYZ:
```
28
Lattice="-1.006 -0.796 5.641 7.766 0.835 0.403 -3.234 8.106 -0.746" Properties=species:S:1:pos:R:3 pbc="T T T"
Li 3.997 6.808 -0.092
O 2.421 0.496 0.654
Mn 6.308 2.565 3.033
P 3.744 3.680 0.985
O 1.247 4.675 3.798
O 2.908 2.528 5.157
O -2.600 6.963 0.773
O -0.468 2.913 4.083
O 3.335 6.785 3.843
O 0.617 5.615 0.140
O -1.144 5.329 3.415
O 4.669 2.816 1.883
Mn 1.665 5.573 1.899
Li 4.326 0.681 1.378
P -0.218 4.464 4.313
O 6.126 1.182 4.524
O 3.993 5.231 1.214
O 2.278 3.469 1.500
Mn 1.861 2.572 3.398
Li -0.800 7.463 3.919
O 1.803 0.448 3.136
Mn -2.782 5.580 2.266
O 1.722 7.696 2.161
O 1.104 7.648 4.643
P 1.295 0.254 1.665
O 0.190 1.359 1.453
Li -0.472 1.336 5.389
P 2.230 7.891 3.632
```

Results
Crystal system: triclinic
Energy of formation from the pure elements (eV/atom): -2.56
ΔE to the lowest computed polymorph (eV per atom): 0.071
Theoretical density (Mg/m³): 2.8

---

Entry 8:
Compound: LiMnPO4
Source: the Materials Project
Functional: PBE with a Hubbard U
Structure: relaxed

Geometry as extended XYZ:
```
56
Lattice="4.902 0.000 0.000 0.000 7.926 0.000 0.000 0.000 17.354" Properties=species:S:1:pos:R:3 pbc="T T T"
Li 1.049 7.780 9.650
O 0.150 2.055 16.429
Li 3.500 0.146 7.704
O 2.724 4.374 6.127
O 0.150 6.018 9.603
Li 3.636 2.618 6.183
O 2.824 3.258 16.798
P 3.517 2.058 16.161
O 0.704 6.157 12.801
Mn 3.832 7.323 12.898
O 0.373 0.705 8.121
P 1.066 1.905 7.484
O 3.173 6.020 11.399
O 2.595 2.466 11.538
O 2.601 5.871 0.925
O 3.155 1.769 4.553
Mn 1.381 4.566 4.220
O 0.273 3.552 11.228
Mn 1.359 1.195 0.911
Mn 3.832 3.360 13.134
Li 1.185 5.308 11.171
O 2.889 0.742 16.756
O 3.173 2.057 14.633
Mn 1.359 5.158 7.767
O 2.889 4.705 9.275
O 0.722 1.906 5.955
O 0.477 1.058 10.984
O 2.928 6.868 6.371
P 3.517 6.021 9.870
O 0.438 7.184 0.598
P 1.050 2.269 11.720
O 2.928 2.905 2.307
Li 3.636 6.581 2.494
P 1.050 6.232 14.311
P 3.501 5.656 5.634
Mn 3.810 2.768 9.588
O 0.704 2.194 13.230
O 2.724 0.411 2.551
Li 3.500 4.109 0.973
P 3.501 1.694 3.043
P 1.066 5.868 1.193
O 0.144 5.460 5.817
Li 1.049 3.817 16.382
Mn 1.381 0.603 4.457
O 0.722 5.869 2.722
O 0.477 5.021 15.048
O 2.824 7.221 9.233
O 0.438 3.221 8.079
Li 1.185 1.345 14.861
O 0.273 7.515 14.804
O 2.595 6.429 14.494
O 0.373 4.668 0.556
O 3.155 5.732 4.124
O 0.144 1.497 2.861
Mn 3.810 6.731 16.444
O 2.601 1.908 7.752
```

Results
Crystal system: orthorhombic
Energy of formation from the pure elements (eV/atom): -2.54
ΔE to the lowest computed polymorph (eV per atom): 0.094
Theoretical density (Mg/m³): 3.1

---

Entry 9:
Compound: LiMn2P4O14
Source: the Materials Project
Functional: PBE with a Hubbard U
Structure: relaxed

Geometry as extended XYZ:
```
21
Lattice="-4.251 -2.308 -1.713 4.561 -3.189 -2.849 -0.223 -2.043 9.463" Properties=species:S:1:pos:R:3 pbc="T T T"
P -0.485 -1.807 2.750
O -0.790 -1.470 1.206
O 3.708 -3.704 0.624
Mn -2.184 -4.703 3.344
Li 2.313 -2.755 -1.938
O -3.588 -3.834 4.309
O 0.872 -3.878 5.061
O -1.071 -3.517 -0.285
O -1.264 -3.029 3.166
O 1.048 -2.010 2.882
O 1.169 -2.346 -0.214
O -0.928 -5.572 2.093
O 1.023 -6.021 3.726
O -0.992 -3.211 8.193
O 1.328 -4.513 1.697
P -0.359 -2.185 -0.216
O -1.059 -5.516 5.050
P 0.618 -5.756 2.212
O 1.337 -4.049 -3.196
Mn 2.282 -2.879 1.624
P 0.471 -5.352 5.108
```

Results
Crystal system: triclinic
Energy of formation from the pure elements (eV/atom): -2.42
ΔE to the lowest computed polymorph (eV per atom): 0.000
Theoretical density (Mg/m³): 2.9

---

Entry 10:
Compound: LiMnP2O7
Source: the Materials Project
Functional: PBE with a Hubbard U
Structure: relaxed

Geometry as extended XYZ:
```
44
Lattice="6.325 0.000 0.000 -2.959 -8.901 0.000 0.619 4.237 -9.778" Properties=species:S:1:pos:R:3 pbc="T T T"
O 1.029 -3.299 -6.695
O -0.373 -3.759 -9.383
O 4.451 -0.845 -0.417
O 3.183 -1.447 -7.622
Li -0.149 -6.634 -3.965
O 3.835 2.999 -8.018
O -1.496 -5.935 -0.998
O 1.702 -0.509 -5.171
O 6.286 1.802 -6.195
O 3.040 -7.555 -1.717
O 2.875 -2.841 -0.246
O 3.900 -1.787 -5.234
O 1.367 0.439 -7.863
O 4.518 -3.512 -6.887
Li 2.535 -0.280 -9.556
O 2.243 -4.130 -4.557
Mn -0.472 -4.684 -7.660
Mn 2.761 -3.236 -2.409
O 2.831 -1.398 -3.021
O 0.051 -5.205 -5.416
O 0.043 -2.847 -4.468
O 5.577 1.407 -8.669
Mn 4.534 0.106 -2.082
P 0.457 1.676 -7.623
P 3.681 -6.234 -2.102
P 4.424 2.345 -9.292
P -0.339 -6.903 -0.426
P 2.997 -0.733 -4.421
P 4.333 -1.994 -6.775
O -2.024 -6.261 -3.491
O -0.522 -1.073 -2.909
P -0.347 -2.608 -2.924
O 0.282 -7.460 -1.746
Li 3.651 -5.412 -5.141
O 0.818 -3.145 -2.095
Li -0.101 0.359 -4.870
O 3.863 0.525 -4.170
O -0.707 -1.171 -6.964
Mn 1.213 -1.395 -7.271
O 4.691 -3.372 -2.622
O 2.678 -5.073 -1.853
P 0.912 -3.953 -5.259
O 1.214 -1.775 -9.414
O 1.132 2.947 -8.129
```

Results
Crystal system: triclinic
Energy of formation from the pure elements (eV/atom): -2.54
ΔE to the lowest computed polymorph (eV per atom): 0.021
Theoretical density (Mg/m³): 2.8

---

Entry 11:
Compound: LiMnPO4
Source: the Materials Project
Functional: PBE with a Hubbard U
Structure: relaxed

Geometry as extended XYZ:
```
28
Lattice="-4.759 0.219 0.516 -1.189 -6.715 -8.108 0.206 -4.771 3.921" Properties=species:S:1:pos:R:3 pbc="T T T"
Mn -3.387 -6.322 -5.081
O -3.278 -3.720 2.948
P -3.731 -9.545 -4.116
O -3.908 -6.640 1.380
O -3.990 -4.727 -0.192
O -1.490 -4.206 -2.606
P -2.011 -1.721 0.445
O -4.240 -10.009 -2.702
Mn -4.911 -2.868 -0.797
O -4.253 -7.060 -1.065
Li 0.206 -4.771 3.921
O -1.835 -4.626 -5.051
Mn -0.831 -8.399 -2.873
O -1.419 -3.170 0.604
Li -2.974 -3.248 -3.796
O -3.544 -1.681 0.575
Li -2.871 -5.633 -1.835
O -1.502 -1.257 -0.969
O -2.198 -9.585 -4.245
O -1.426 -6.236 -0.211
Li 0.103 -2.385 1.960
O -4.323 -8.096 -4.274
P -1.079 -5.149 -3.774
P -4.664 -6.117 0.103
Mn -2.355 -4.944 1.410
O -1.752 -6.540 -3.479
O -4.316 -5.030 -3.460
O -2.465 -7.546 -6.618
```

Results
Crystal system: orthorhombic
Energy of formation from the pure elements (eV/atom): -2.63
ΔE to the lowest computed polymorph (eV per atom): 0.000
Theoretical density (Mg/m³): 3.3

---

What is the ΔE to the lowest computed polymorph in the eleventh record? 0.000 eV per atom

---

Among the records above, which one has the lowest energy of formation from the pure elements? number 11

---

What is the formula in the fifth record? LiMn4P3O12